7
Lattice="4.249 0.000 0.000 0.000 4.249 0.000 -2.125 -2.125 6.811" Properties=species:S:1:pos:R:3 comment="PBE Ba2ZrO4, relaxed" volume_a3_per_atom=17.568 energy_ev_per_atom=-7.635 e_form_ev_per_fu=-24.0 pbc="T T T"
Ba 2.125 2.125 2.003
Ba 0.000 0.000 4.809
Zr 0.000 0.000 0.000
O 2.125 2.125 4.666
O 0.000 0.000 2.145
O 0.000 2.125 0.000
O 2.125 0.000 0.000